## A
Here is a relaxed structure of RhC2ClO2 from Materials Project. Energies are from GGA-PBE.

Cell lengths 14.3853, 14.3853, 9.4377 Å; angles 90.00, 90.00, 90.00 degrees
Last column: nearest neighbours and their distance in Å.
Space group I-42d (No. 122)
Inequivalent atoms, fractional coordinates:
Rh 0.1480 0.7284 0.2897 x16  2 C 1.85
C 0.0927 0.6985 0.8224 x16  1 O 1.16
C 0.1082 0.6217 0.3816 x16  1 O 1.16
Cl 0.1388 0.2033 0.8417 x16  2 Rh 2.40-2.41
O 0.0536 0.0862 0.1874 x16  1 C 1.16
O 0.0551 0.6540 0.7377 x16  1 C 1.16

***

## B
Here is a relaxed structure of RhC2ClO2 from Materials Project. Energies are from GGA-PBE.

Cell lengths 15.9561, 15.9561, 9.0648 Å; angles 90.00, 90.00, 90.00 degrees
Last column: nearest neighbours and their distance in Å.
Space group I-42d (No. 122)
Inequivalent atoms, fractional coordinates:
Rh 0.1701 0.7312 0.2800 x16  2 C 1.84-1.86
C 0.0844 0.6996 0.9086 x16  1 O 1.16
C 0.1126 0.6436 0.3693 x16  1 O 1.16
Cl 0.1518 0.2404 0.8401 x16  2 Rh 2.41-2.44
O 0.0244 0.6588 0.9003 x16  1 C 1.16
O 0.0726 0.5919 0.4245 x16  1 C 1.16

***

Consider the structures shown above. The least stable of them is B.